Here is a geometry-optimized Mg6NbZn structure from Materials Project. Energies are from PBE.

POSCAR file:
```
Mg6NbZn
1.0
4.909 0.000 0.000
0.000 6.093 0.000
0.000 0.000 10.873
Mg Zn Nb
12 2 2
direct
0.000 0.500 0.326 Mg
0.000 0.256 0.086 Mg
0.000 0.244 0.586 Mg
0.000 0.000 0.826 Mg
0.500 0.247 0.919 Mg
0.000 0.756 0.586 Mg
0.500 0.253 0.419 Mg
0.000 0.000 0.328 Mg
0.500 0.753 0.919 Mg
0.500 0.747 0.419 Mg
0.000 0.744 0.086 Mg
0.000 0.500 0.828 Mg
0.500 0.000 0.165 Zn
0.500 0.500 0.665 Zn
0.500 0.000 0.670 Nb
0.500 0.500 0.170 Nb
```

E_form = 0.13 eV per atom
Uncorrected energy = -19.89 eV/f.u.
Magnetization = 0.0 μB/f.u.
Polymorph energy (0 for the lowest one) = 11 meV per atom

Here is a geometry-optimized Mg6NbZn structure from Materials Project. Energies are from PBE.

POSCAR file:
```
Mg6NbZn
1.0
4.854 0.000 0.000
0.000 6.226 0.000
0.000 0.000 10.823
Mg Zn Nb
12 2 2
direct
0.500 0.744 0.418 Mg
0.000 0.500 0.832 Mg
0.000 0.000 0.332 Mg
0.500 0.244 0.918 Mg
0.500 0.000 0.167 Mg
0.000 0.241 0.588 Mg
0.500 0.500 0.667 Mg
0.500 0.756 0.918 Mg
0.000 0.759 0.588 Mg
0.500 0.256 0.418 Mg
0.000 0.741 0.088 Mg
0.000 0.259 0.088 Mg
0.000 0.000 0.817 Zn
0.000 0.500 0.317 Zn
0.500 0.500 0.173 Nb
0.500 0.000 0.673 Nb
```

E_form = 0.12 eV per atom
Uncorrected energy = -19.97 eV/f.u.
Magnetization = 0.0 μB/f.u.
Polymorph energy (0 for the lowest one) = 0 meV per atom

Here is a geometry-optimized Nd5Mg41 structure from Materials Project. Energies are from PBE.

POSCAR file:
```
Nd5Mg41
1.0
-7.347 7.347 5.227
7.347 -7.347 5.227
7.347 7.347 -5.227
Mg Nd
41 5
direct
0.500 0.500 0.500 Mg
0.500 0.500 0.000 Mg
0.374 0.208 0.287 Mg
0.500 0.000 0.000 Mg
0.659 0.783 0.442 Mg
0.341 0.217 0.558 Mg
0.626 0.792 0.713 Mg
0.892 0.335 0.710 Mg
0.554 0.767 0.941 Mg
0.792 0.080 0.166 Mg
0.000 0.000 0.500 Mg
0.446 0.233 0.059 Mg
0.217 0.659 0.876 Mg
0.878 0.778 0.656 Mg
0.208 0.920 0.834 Mg
0.182 0.892 0.557 Mg
0.665 0.375 0.557 Mg
0.009 0.597 0.607 Mg
0.108 0.665 0.290 Mg
0.387 0.446 0.213 Mg
0.920 0.086 0.713 Mg
0.767 0.826 0.213 Mg
0.826 0.613 0.059 Mg
0.783 0.341 0.124 Mg
0.914 0.626 0.834 Mg
0.174 0.387 0.941 Mg
0.233 0.174 0.787 Mg
0.222 0.878 0.099 Mg
0.375 0.818 0.710 Mg
0.625 0.182 0.290 Mg
0.613 0.554 0.787 Mg
0.122 0.222 0.344 Mg
0.991 0.403 0.393 Mg
0.778 0.122 0.901 Mg
0.403 0.009 0.412 Mg
0.335 0.625 0.443 Mg
0.818 0.108 0.443 Mg
0.080 0.914 0.287 Mg
0.086 0.374 0.166 Mg
0.000 0.500 0.000 Mg
0.597 0.991 0.588 Mg
0.429 0.764 0.193 Nd
0.571 0.236 0.807 Nd
0.236 0.429 0.665 Nd
0.000 0.000 0.000 Nd
0.764 0.571 0.335 Nd
```

E_form = -0.06 eV per atom
Uncorrected energy = -92.05 eV/f.u.
Magnetization = 0.1 μB/f.u.

Here is a geometry-optimized NdMg2 structure from Materials Project. Energies are from PBE.

POSCAR file:
```
NdMg2
1.0
5.248 1.340 -2.889
0.034 0.811 -6.084
0.868 5.606 -2.344
Nd Mg
2 4
direct
0.500 0.500 0.500 Nd
0.250 0.250 0.250 Nd
0.875 0.875 0.375 Mg
0.375 0.875 0.875 Mg
0.875 0.375 0.875 Mg
0.875 0.875 0.875 Mg
```

E_form = -0.10 eV per atom
Uncorrected energy = -8.27 eV/f.u.

Here is a geometry-optimized NdMg5Ni structure from Materials Project. Energies are from PBE.

POSCAR file:
```
NdMg5Ni
1.0
-0.809 0.881 3.968
2.236 -5.112 -0.573
13.097 5.569 1.433
Mg Ni Nd
10 2 2
direct
0.901 0.802 0.358 Mg
0.794 0.589 0.926 Mg
0.500 0.000 0.500 Mg
0.206 0.411 0.074 Mg
0.206 0.411 0.426 Mg
0.099 0.198 0.642 Mg
0.901 0.802 0.142 Mg
0.099 0.198 0.858 Mg
0.794 0.589 0.574 Mg
0.500 0.000 0.000 Mg
0.316 0.633 0.250 Ni
0.684 0.367 0.750 Ni
0.385 0.771 0.750 Nd
0.615 0.229 0.250 Nd
```

E_form = -0.14 eV per atom
Uncorrected energy = -19.56 eV/f.u.
Magnetization = 0.0 μB/f.u.

Here is a geometry-optimized NdMgNi4 structure from Materials Project. Energies are from PBE.

POSCAR file:
```
NdMgNi4
1.0
5.015 0.000 0.000
0.000 5.019 0.000
-2.507 -2.509 3.554
Ni Nd Mg
4 1 1
direct
0.620 0.116 0.239 Ni
0.619 0.622 0.744 Ni
0.620 0.623 0.239 Ni
0.125 0.622 0.744 Ni
0.996 0.246 0.992 Nd
0.247 0.997 0.494 Mg
```

E_form = -0.33 eV per atom
Uncorrected energy = -31.46 eV/f.u.